1.
CaLaMn2O6: optimized geometry, GGA+U.

Summary:
E above lowest polymorph ... 1 meV/atom
Symmetry ... No. 6

Cell: 5.5270 7.6732 11.0580 Å, 90.00 90.37 90.00°
With the nearest neighbours (Å) after each atom.
Positions (direct):
Ca (0.0000, 0.0000, 0.0000)  6 O 2.37-2.58
Ca (0.0216, 0.5000, 0.5358)  6 O 2.38-2.59
Ca (0.4913, 0.5000, 0.2860)  6 O 2.38-2.58
Ca (0.5308, 0.0000, 0.7539)  6 O 2.37-2.63
La (0.0101, 0.0000, 0.5071)  6 O 2.42-2.66
La (0.0179, 0.5000, 0.0286)  6 O 2.41-2.60
La (0.5094, 0.0000, 0.2526)  6 O 2.43-2.59
La (0.5188, 0.5000, 0.7752)  6 O 2.42-2.64
Mn (0.0043, 0.2556, 0.2686)  6 O 1.94-2.02
Mn (0.0043, 0.7444, 0.2686)  6 O 1.94-2.02
Mn (0.0206, 0.2449, 0.7671)  6 O 1.94-2.01
Mn (0.0206, 0.7551, 0.7671)  6 O 1.94-2.01
Mn (0.5122, 0.2535, 0.5168)  6 O 1.94-2.05
Mn (0.5122, 0.7465, 0.5168)  6 O 1.94-2.05
Mn (0.5134, 0.2467, 0.0167)  6 O 1.95-2.08
Mn (0.5134, 0.7533, 0.0167)  6 O 1.95-2.08
O (0.0737, 0.0000, 0.2797)  2 Mn 2.00
O (0.1035, 0.0000, 0.7733)  2 Mn 1.94
O (0.2203, 0.2897, 0.4061)  2 Mn 1.94-2.04
O (0.2203, 0.7103, 0.4061)  2 Mn 1.94-2.04
O (0.2476, 0.2943, 0.9036)  2 Mn 1.96-1.99
O (0.2476, 0.7057, 0.9036)  2 Mn 1.96-1.99
O (0.2778, 0.2895, 0.1596)  2 Mn 1.96-2.08
O (0.2778, 0.7105, 0.1596)  2 Mn 1.96-2.08
O (0.2975, 0.2855, 0.6542)  2 Mn 1.95-2.01
O (0.2975, 0.7145, 0.6542)  2 Mn 1.95-2.01
O (0.4267, 0.0000, 0.0231)  2 Mn 1.95
O (0.4465, 0.0000, 0.5197)  2 Mn 1.98
O (0.5833, 0.5000, 0.0116)  2 Mn 1.98
O (0.5931, 0.5000, 0.5141)  2 Mn 1.94
O (0.7270, 0.2110, 0.3782)  2 Mn 1.97-1.99
O (0.7270, 0.7890, 0.3782)  2 Mn 1.97-1.99
O (0.7494, 0.2154, 0.8777)  2 Mn 1.95-2.04
O (0.7494, 0.7846, 0.8777)  2 Mn 1.95-2.04
O (0.7840, 0.2040, 0.1271)  2 Mn 1.95-2.02
O (0.7840, 0.7960, 0.1271)  2 Mn 1.95-2.02
O (0.7980, 0.2132, 0.6326)  2 Mn 1.94-2.05
O (0.7980, 0.7868, 0.6326)  2 Mn 1.94-2.05
O (0.9168, 0.5000, 0.2533)  2 Mn 1.94
O (0.9557, 0.5000, 0.7616)  2 Mn 1.99


2.
KNaMoWO5: optimized geometry, GGA+U.

Summary:
Symmetry ... No. 1
E ... -6.233 eV/atom

Cell: 11.5667 11.7089 17.5527 Å, 70.78 70.95 89.98°
With the nearest neighbours (Å) after each atom.
Positions (direct):
K (0.0000, 0.0000, 0.0000)  7 O 2.61-2.86
K (0.0008, 0.4969, 0.9969)  7 O 2.58-2.87
K (0.1006, 0.5782, 0.2882)  7 O 2.61-2.82
K (0.1137, 0.5858, 0.7748)  7 O 2.66-2.80
K (0.2487, 0.2253, 0.0004)  8 O 2.69-2.95
K (0.2521, 0.7320, 0.9982)  6 O 2.57-2.77
K (0.3513, 0.3558, 0.2861)  7 O 2.59-2.84
K (0.3615, 0.3619, 0.7747)  7 O 2.66-2.76
K (0.4954, 0.9973, 0.0020)  8 O 2.66-2.96
K (0.5011, 0.4998, 0.9972)  7 O 2.57-2.83
K (0.6126, 0.5881, 0.7741)  7 O 2.63-2.88
K (0.7485, 0.2302, 0.0019)  7 O 2.63-2.88
K (0.7502, 0.7311, 0.9999)  8 O 2.65-2.94
K (0.8501, 0.8531, 0.2896)  6 O 2.54-2.80
K (0.8516, 0.3565, 0.2870)  7 O 2.62-2.81
K (0.8615, 0.8624, 0.7769)  7 O 2.62-2.81
Na (0.0015, 0.5057, 0.4942)  6 O 2.35-2.62
Na (0.0040, 0.0059, 0.4944)  6 O 2.35-2.61
Na (0.0980, 0.0752, 0.3006)  5 O 2.35-2.59
Na (0.1060, 0.0811, 0.7889)  6 O 2.45-2.60
Na (0.2533, 0.7284, 0.4924)  6 O 2.35-2.59
Na (0.2551, 0.2213, 0.4960)  5 O 2.36-2.60
Na (0.3509, 0.8520, 0.2984)  5 O 2.34-2.60
Na (0.3560, 0.8565, 0.7893)  6 O 2.46-2.59
Na (0.5026, 0.0087, 0.4959)  6 O 2.37-2.64
Na (0.5043, 0.5044, 0.4924)  5 O 2.34-2.56
Na (0.6007, 0.0727, 0.2986)  5 O 2.34-2.59
Na (0.6037, 0.5739, 0.2959)  5 O 2.38-2.62
Na (0.6076, 0.0803, 0.7881)  7 O 2.49-2.66
Na (0.7510, 0.2252, 0.4956)  5 O 2.35-2.61
Na (0.7565, 0.7238, 0.4935)  4 O 2.32-2.47
Na (0.8579, 0.3574, 0.7873)  7 O 2.50-2.78
Mo (0.0379, 0.7898, 0.3989)  6 O 2.06-2.21
Mo (0.0393, 0.2854, 0.3983)  6 O 2.06-2.20
Mo (0.0492, 0.7959, 0.8872)  6 O 2.05-2.18
Mo (0.0501, 0.2936, 0.8862)  6 O 2.06-2.21
Mo (0.2891, 0.0367, 0.3982)  6 O 2.06-2.21
Mo (0.2896, 0.5421, 0.3953)  6 O 2.06-2.17
Mo (0.2989, 0.0421, 0.8883)  6 O 2.05-2.22
Mo (0.3014, 0.5475, 0.8844)  6 O 2.06-2.28
Mo (0.5379, 0.2896, 0.3961)  6 O 2.07-2.20
Mo (0.5387, 0.7889, 0.3944)  6 O 2.04-2.18
Mo (0.5480, 0.2930, 0.8884)  6 O 2.05-2.19
Mo (0.5516, 0.7963, 0.8866)  6 O 2.04-2.27
Mo (0.7853, 0.0397, 0.3984)  6 O 2.05-2.17
Mo (0.7891, 0.5388, 0.3979)  6 O 2.07-2.17
Mo (0.7982, 0.0479, 0.8858)  6 O 2.04-2.24
Mo (0.8011, 0.5439, 0.8857)  6 O 2.05-2.26
W (0.2051, 0.3801, 0.1411)  4 O 1.90-2.09
W (0.2064, 0.8882, 0.1521)  4 O 1.92-2.06
W (0.2163, 0.3850, 0.6315)  4 O 1.91-2.06
W (0.2166, 0.8922, 0.6408)  4 O 1.92-2.06
W (0.4541, 0.1818, 0.1515)  4 O 1.92-2.05
W (0.4574, 0.6973, 0.1485)  4 O 1.93-2.07
W (0.4648, 0.1921, 0.6405)  4 O 1.92-2.06
W (0.4654, 0.7081, 0.6305)  4 O 1.91-2.06
W (0.6980, 0.8878, 0.1448)  4 O 1.93-2.06
W (0.7010, 0.3838, 0.1434)  4 O 1.91-2.08
W (0.7115, 0.8934, 0.6357)  4 O 1.93-2.04
W (0.7184, 0.3813, 0.6384)  4 O 1.93-2.06
W (0.9555, 0.6984, 0.1422)  4 O 1.93-2.03
W (0.9563, 0.1891, 0.1493)  4 O 1.93-2.04
W (0.9656, 0.7020, 0.6350)  4 O 1.94-2.05
W (0.9676, 0.2014, 0.6390)  4 O 1.94-2.05
O (0.1043, 0.3740, 0.2573)  1 W 1.97, 1 Mo 2.20
O (0.1061, 0.8998, 0.2600)  1 W 1.92
O (0.1110, 0.2122, 0.1652)  2 W 1.93-2.09
O (0.1116, 0.3761, 0.7471)  1 W 1.96, 1 Mo 2.17
O (0.1141, 0.8977, 0.7501)  1 W 1.92
O (0.1148, 0.7455, 0.1426)  2 W 1.93-2.06
O (0.1346, 0.2214, 0.6429)  2 W 1.97-2.06
O (0.1352, 0.7514, 0.6228)  2 W 1.97-2.06
O (0.1556, 0.4008, 0.4172)  2 Mo 2.08-2.12
O (0.1568, 0.9053, 0.4133)  2 Mo 2.06
O (0.1714, 0.1678, 0.3819)  2 Mo 2.06-2.07
O (0.1717, 0.9147, 0.8947)  2 Mo 2.05
O (0.1726, 0.4144, 0.8958)  2 Mo 2.07-2.09
O (0.1726, 0.6741, 0.3857)  2 Mo 2.06-2.07
O (0.1795, 0.1723, 0.8752)  2 Mo 2.06-2.07
O (0.1829, 0.6785, 0.8759)  2 Mo 2.06-2.07
O (0.2145, 0.0092, 0.5320)  1 W 1.96, 1 Mo 2.13
O (0.2161, 0.5158, 0.5313)  1 W 1.91
O (0.2281, 0.4941, 0.0301)  1 W 1.90
O (0.2284, 0.9826, 0.0308)  1 W 1.98
O (0.3454, 0.5864, 0.2590)  1 W 1.96, 1 Mo 2.14
O (0.3523, 0.0650, 0.2595)  1 W 1.92
O (0.3624, 0.8421, 0.1651)  2 W 1.95-2.07
O (0.3643, 0.0787, 0.7502)  1 W 1.92
O (0.3664, 0.6005, 0.7470)  1 W 1.96, 1 Mo 2.14
O (0.3669, 0.3362, 0.1393)  2 W 1.93-2.05
O (0.3819, 0.8595, 0.6439)  2 W 1.96-2.06
O (0.3867, 0.3523, 0.6209)  2 W 1.97-2.06
O (0.4060, 0.9036, 0.4141)  2 Mo 2.06-2.07
O (0.4086, 0.4116, 0.4102)  2 Mo 2.07-2.08
O (0.4207, 0.4169, 0.8963)  2 Mo 2.06-2.07
O (0.4230, 0.1663, 0.3831)  2 Mo 2.06-2.08
O (0.4228, 0.9151, 0.8946)  2 Mo 2.04-2.07
O (0.4252, 0.6753, 0.3759)  2 Mo 2.04-2.08
O (0.4303, 0.1691, 0.8782)  2 Mo 2.05-2.08
O (0.4313, 0.6784, 0.8751)  2 Mo 2.06-2.08
O (0.4614, 0.1869, 0.5307)  1 W 1.96, 1 Mo 2.14
O (0.4613, 0.6787, 0.5307)  1 W 1.91
O (0.4801, 0.2107, 0.0291)  1 W 1.98, 1 Mo 2.19
O (0.4837, 0.7073, 0.0322)  1 W 1.93
O (0.5986, 0.8965, 0.2573)  1 W 1.97, 1 Mo 2.18
O (0.6052, 0.3914, 0.2572)  1 W 1.97, 1 Mo 2.20
O (0.6068, 0.2172, 0.1677)  2 W 1.94-2.08
O (0.6097, 0.3775, 0.7508)  1 W 1.95, 1 Mo 2.15
O (0.6150, 0.7214, 0.1619)  2 W 1.94-2.06
O (0.6181, 0.8938, 0.7490)  1 W 1.93
O (0.6304, 0.2256, 0.6424)  2 W 1.97-2.06
O (0.6359, 0.7487, 0.6201)  2 W 1.96-2.04
O (0.6547, 0.9058, 0.4130)  2 Mo 2.07-2.09
O (0.6566, 0.4059, 0.4128)  2 Mo 2.08-2.09
O (0.6694, 0.6689, 0.3846)  2 Mo 2.07
O (0.6692, 0.9159, 0.8975)  2 Mo 2.05-2.06
O (0.6696, 0.1713, 0.3812)  2 Mo 2.05-2.07
O (0.6737, 0.4139, 0.8951)  2 Mo 2.05-2.09
O (0.6792, 0.1758, 0.8759)  2 Mo 2.04-2.05
O (0.6817, 0.6755, 0.8772)  2 Mo 2.07
O (0.7018, 0.0150, 0.5318)  1 W 1.95, 1 Mo 2.14
O (0.7160, 0.5063, 0.5345)  1 W 1.93, 1 Mo 2.17
O (0.7233, 0.9958, 0.0292)  1 W 1.93
O (0.7255, 0.4936, 0.0299)  1 W 1.91
O (0.8482, 0.0818, 0.2601)  1 W 1.93
O (0.8512, 0.0959, 0.7489)  1 W 1.95, 1 Mo 2.15
O (0.8538, 0.5904, 0.2587)  1 W 1.97, 1 Mo 2.17
O (0.8582, 0.8417, 0.1459)  2 W 1.93-2.03
O (0.8628, 0.3379, 0.1404)  2 W 1.94-2.04
O (0.8715, 0.5851, 0.7477)  1 W 1.95, 1 Mo 2.17
O (0.8812, 0.8571, 0.6243)  2 W 1.97-2.05
O (0.8869, 0.3573, 0.6392)  2 W 1.97-2.05
O (0.9058, 0.4044, 0.4163)  2 Mo 2.09-2.10
O (0.9063, 0.9072, 0.4149)  2 Mo 2.06-2.10
O (0.9203, 0.1654, 0.3877)  2 Mo 2.06-2.07
O (0.9208, 0.4146, 0.8945)  2 Mo 2.05-2.06
O (0.9213, 0.9187, 0.8963)  2 Mo 2.07-2.08
O (0.9218, 0.6688, 0.3859)  2 Mo 2.07
O (0.9300, 0.1756, 0.8744)  2 Mo 2.05-2.06
O (0.9314, 0.6735, 0.8771)  2 Mo 2.07
O (0.9584, 0.6798, 0.5319)  1 W 1.94, 1 Mo 2.14
O (0.9668, 0.1812, 0.5340)  1 W 1.94, 1 Mo 2.16
O (0.9795, 0.7034, 0.0265)  1 W 1.94
O (0.9825, 0.2121, 0.0277)  1 W 1.98, 1 Mo 2.21


3.
MgFe2O5: optimized geometry, GGA+U.

Summary:
E above lowest polymorph ... 39 meV/atom
Symmetry ... No. 15

Cell: 5.6035 5.6035 7.1275 Å, 107.64 107.64 54.87°
With the nearest neighbours (Å) after each atom.
Positions (direct):
Mg (0.0000, 0.0000, 0.0000)  6 O 2.09-2.11
Mg (0.0000, 0.0000, 0.5000)  6 O 2.09-2.11
Fe (0.3685, 0.3736, 0.7834)  5 O 1.89-2.00
Fe (0.3736, 0.3685, 0.2834)  5 O 1.89-2.00
Fe (0.6264, 0.6315, 0.7166)  5 O 1.89-2.00
Fe (0.6315, 0.6264, 0.2166)  5 O 1.89-2.00
O (0.0179, 0.3695, 0.6644)  2 Fe 1.89-1.90, 1 Mg 2.09
O (0.2178, 0.7822, 0.7500)  2 Fe 2.00, 2 Mg 2.11
O (0.2627, 0.5646, 0.0555)  3 Fe 1.98-2.20, 1 Mg 2.09
O (0.3695, 0.0179, 0.1644)  2 Fe 1.89-1.90, 1 Mg 2.09
O (0.4354, 0.7373, 0.4445)  3 Fe 1.98-2.20, 1 Mg 2.09
O (0.5646, 0.2627, 0.5555)  3 Fe 1.98-2.20, 1 Mg 2.09
O (0.6305, 0.9821, 0.8356)  2 Fe 1.89-1.90, 1 Mg 2.09
O (0.7373, 0.4354, 0.9445)  3 Fe 1.98-2.20, 1 Mg 2.09
O (0.7822, 0.2178, 0.2500)  2 Fe 2.00, 2 Mg 2.11
O (0.9821, 0.6305, 0.3356)  2 Fe 1.89-1.90, 1 Mg 2.09


4.
CrHg5O6: optimized geometry, GGA+U.

Summary:
Symmetry ... No. 15
E ... -3.828 eV/atom

Cell: 8.2835 8.2835 6.8499 Å, 95.52 95.52 91.80°
With the nearest neighbours (Å) after each atom.
Positions (direct):
Cr (0.1829, 0.8171, 0.7500)  4 O 1.68
Cr (0.8171, 0.1829, 0.2500)  4 O 1.68
Hg (0.1147, 0.5659, 0.2101)  1 O 2.17
Hg (0.1494, 0.2974, 0.6974)  1 O 2.21
Hg (0.2974, 0.1494, 0.1974)  1 O 2.21
Hg (0.4341, 0.8853, 0.2899)  1 O 2.17
Hg (0.5000, 0.5000, 0.0000)  2 O 2.09
Hg (0.5000, 0.5000, 0.5000)  2 O 2.09
Hg (0.5659, 0.1147, 0.7101)  1 O 2.17
Hg (0.7026, 0.8506, 0.8026)  1 O 2.21
Hg (0.8506, 0.7026, 0.3026)  1 O 2.21
Hg (0.8853, 0.4341, 0.7899)  1 O 2.17
O (0.0178, 0.2231, 0.2929)  1 Cr 1.68
O (0.2231, 0.0178, 0.7929)  1 Cr 1.68
O (0.2590, 0.7288, 0.9473)  1 Cr 1.68
O (0.2712, 0.7410, 0.5527)  1 Cr 1.68
O (0.3118, 0.4086, 0.1458)  3 Hg 2.09-2.21
O (0.4086, 0.3118, 0.6458)  3 Hg 2.09-2.21
O (0.5914, 0.6882, 0.3542)  3 Hg 2.09-2.21
O (0.6882, 0.5914, 0.8542)  3 Hg 2.09-2.21
O (0.7288, 0.2590, 0.4473)  1 Cr 1.68
O (0.7410, 0.2712, 0.0527)  1 Cr 1.68
O (0.7769, 0.9822, 0.2071)  1 Cr 1.68
O (0.9822, 0.7769, 0.7071)  1 Cr 1.68


5.
UV2O8: optimized geometry, GGA+U.

Summary:
E above lowest polymorph ... 0 meV/atom
Symmetry ... No. 62

Cell: 5.8493 12.1578 10.7291 Å, 90.00 90.00 90.00°
With the nearest neighbours (Å) after each atom.
Positions (direct):
U (0.0707, 0.2500, 0.1003)  2 O 1.79-1.85
U (0.4293, 0.7500, 0.6003)  2 O 1.79-1.85
U (0.5707, 0.2500, 0.3997)  2 O 1.79-1.85
U (0.9293, 0.7500, 0.8997)  2 O 1.79-1.85
V (0.1848, 0.5693, 0.1656)  4 O 1.69-1.81
V (0.1848, 0.9307, 0.1656)  4 O 1.69-1.81
V (0.3152, 0.0693, 0.6656)  4 O 1.69-1.81
V (0.3152, 0.4307, 0.6656)  4 O 1.69-1.81
V (0.6848, 0.5693, 0.3344)  4 O 1.69-1.81
V (0.6848, 0.9307, 0.3344)  4 O 1.69-1.81
V (0.8152, 0.0693, 0.8344)  4 O 1.69-1.81
V (0.8152, 0.4307, 0.8344)  4 O 1.69-1.81
O (0.0446, 0.1089, 0.7329)  2 V 1.79-1.81
O (0.0446, 0.3911, 0.7329)  2 V 1.79-1.81
O (0.1473, 0.6336, 0.0270)  1 V 1.69
O (0.1473, 0.8664, 0.0270)  1 V 1.69
O (0.1546, 0.7500, 0.7784)  1 U 1.85
O (0.1768, 0.0684, 0.1472)  1 V 1.69
O (0.1768, 0.4316, 0.1472)  1 V 1.69
O (0.2050, 0.7500, 0.4861)  1 U 1.79
O (0.2950, 0.2500, 0.9861)  1 U 1.79
O (0.3232, 0.5684, 0.6472)  1 V 1.69
O (0.3232, 0.9316, 0.6472)  1 V 1.69
O (0.3454, 0.2500, 0.2784)  1 U 1.85
O (0.3527, 0.1336, 0.5270)  1 V 1.69
O (0.3527, 0.3664, 0.5270)  1 V 1.69
O (0.4554, 0.6089, 0.2329)  2 V 1.79-1.81
O (0.4554, 0.8911, 0.2329)  2 V 1.79-1.81
O (0.5446, 0.1089, 0.7671)  2 V 1.79-1.81
O (0.5446, 0.3911, 0.7671)  2 V 1.79-1.81
O (0.6473, 0.6336, 0.4730)  1 V 1.69
O (0.6473, 0.8664, 0.4730)  1 V 1.69
O (0.6546, 0.7500, 0.7216)  1 U 1.85
O (0.6768, 0.0684, 0.3528)  1 V 1.69
O (0.6768, 0.4316, 0.3528)  1 V 1.69
O (0.7050, 0.7500, 0.0139)  1 U 1.79
O (0.7950, 0.2500, 0.5139)  1 U 1.79
O (0.8232, 0.5684, 0.8528)  1 V 1.69
O (0.8232, 0.9316, 0.8528)  1 V 1.69
O (0.8454, 0.2500, 0.2216)  1 U 1.85
O (0.8527, 0.1336, 0.9730)  1 V 1.69
O (0.8527, 0.3664, 0.9730)  1 V 1.69
O (0.9554, 0.6089, 0.2671)  2 V 1.79-1.81
O (0.9554, 0.8911, 0.2671)  2 V 1.79-1.81


6.
Mo9O26: optimized geometry, GGA+U.

Summary:
E above lowest polymorph ... 2 meV/atom
Symmetry ... No. 13

Cell: 14.9078 4.1069 17.2543 Å, 90.00 95.15 90.00°
With the nearest neighbours (Å) after each atom.
Positions (direct):
Mo (0.0000, 0.0721, 0.2500)  3 O 1.74-1.89
Mo (0.0000, 0.9279, 0.7500)  3 O 1.74-1.89
Mo (0.1125, 0.0720, 0.9578)  4 O 1.74-1.91
Mo (0.1125, 0.9280, 0.4578)  4 O 1.74-1.91
Mo (0.2241, 0.0858, 0.6627)  2 O 1.74-1.93
Mo (0.2241, 0.9142, 0.1627)  2 O 1.74-1.93
Mo (0.3352, 0.0821, 0.3678)  3 O 1.74-1.84
Mo (0.3352, 0.9179, 0.8678)  3 O 1.74-1.84
Mo (0.4536, 0.0893, 0.5819)  3 O 1.74-1.86
Mo (0.4536, 0.9107, 0.0819)  3 O 1.74-1.86
Mo (0.5464, 0.0893, 0.9181)  3 O 1.74-1.86
Mo (0.5464, 0.9107, 0.4181)  3 O 1.74-1.86
Mo (0.6648, 0.0821, 0.1322)  3 O 1.74-1.84
Mo (0.6648, 0.9179, 0.6322)  3 O 1.74-1.84
Mo (0.7759, 0.0858, 0.8373)  2 O 1.74-1.93
Mo (0.7759, 0.9142, 0.3373)  2 O 1.74-1.93
Mo (0.8875, 0.0720, 0.5422)  4 O 1.74-1.91
Mo (0.8875, 0.9280, 0.0422)  4 O 1.74-1.91
O (0.0000, 0.0000, 0.0000)  2 Mo 1.91
O (0.0000, 0.0000, 0.5000)  2 Mo 1.91
O (0.0000, 0.4955, 0.2500)  1 Mo 1.74
O (0.0000, 0.5045, 0.7500)  1 Mo 1.74
O (0.0625, 0.0036, 0.3547)  2 Mo 1.89-1.98
O (0.0625, 0.9964, 0.8547)  2 Mo 1.89-1.98
O (0.1099, 0.0074, 0.7062)  2 Mo 1.89-1.95
O (0.1099, 0.9926, 0.2062)  2 Mo 1.89-1.95
O (0.1145, 0.4955, 0.9571)  1 Mo 1.74
O (0.1145, 0.5045, 0.4571)  1 Mo 1.74
O (0.1707, 0.0027, 0.5586)  2 Mo 1.90-1.93
O (0.1707, 0.9973, 0.0586)  2 Mo 1.90-1.93
O (0.2285, 0.4911, 0.1648)  1 Mo 1.74
O (0.2285, 0.5089, 0.6648)  1 Mo 1.74
O (0.2352, 0.0042, 0.4203)  2 Mo 1.84-2.02
O (0.2352, 0.9958, 0.9203)  2 Mo 1.84-2.02
O (0.2864, 0.0117, 0.2691)  2 Mo 1.81-2.02
O (0.2864, 0.9883, 0.7691)  2 Mo 1.81-2.02
O (0.3399, 0.4938, 0.8711)  1 Mo 1.74
O (0.3399, 0.5062, 0.3711)  1 Mo 1.74
O (0.3469, 0.0131, 0.6214)  1 Mo 1.81
O (0.3469, 0.9869, 0.1214)  1 Mo 1.81
O (0.4218, 0.0020, 0.4697)  3 Mo 1.98-2.16
O (0.4218, 0.9980, 0.9697)  3 Mo 1.98-2.16
O (0.4540, 0.4867, 0.0781)  1 Mo 1.74
O (0.4540, 0.5133, 0.5781)  1 Mo 1.74
O (0.4605, 0.0115, 0.8349)  2 Mo 1.86-2.04
O (0.4605, 0.9885, 0.3349)  2 Mo 1.86-2.04
O (0.5395, 0.0115, 0.6651)  2 Mo 1.86-2.04
O (0.5395, 0.9885, 0.1651)  2 Mo 1.86-2.04
O (0.5460, 0.4867, 0.4219)  1 Mo 1.74
O (0.5460, 0.5133, 0.9219)  1 Mo 1.74
O (0.5782, 0.0020, 0.0303)  3 Mo 1.98-2.16
O (0.5782, 0.9980, 0.5303)  3 Mo 1.98-2.16
O (0.6531, 0.0131, 0.8786)  1 Mo 1.81
O (0.6531, 0.9869, 0.3786)  1 Mo 1.81
O (0.6601, 0.4938, 0.6289)  1 Mo 1.74
O (0.6601, 0.5062, 0.1289)  1 Mo 1.74
O (0.7136, 0.0117, 0.2309)  2 Mo 1.81-2.02
O (0.7136, 0.9883, 0.7309)  2 Mo 1.81-2.02
O (0.7648, 0.0042, 0.0797)  2 Mo 1.84-2.02
O (0.7648, 0.9958, 0.5797)  2 Mo 1.84-2.02
O (0.7715, 0.4911, 0.3352)  1 Mo 1.74
O (0.7715, 0.5089, 0.8352)  1 Mo 1.74
O (0.8293, 0.0027, 0.9414)  2 Mo 1.90-1.93
O (0.8293, 0.9973, 0.4414)  2 Mo 1.90-1.93
O (0.8855, 0.4955, 0.5429)  1 Mo 1.74
O (0.8855, 0.5045, 0.0429)  1 Mo 1.74
O (0.8901, 0.0074, 0.7938)  2 Mo 1.89-1.95
O (0.8901, 0.9926, 0.2938)  2 Mo 1.89-1.95
O (0.9375, 0.0036, 0.1453)  2 Mo 1.89-1.98
O (0.9375, 0.9964, 0.6453)  2 Mo 1.89-1.98